Compound: Dy4Ga12Fe
Source: the Materials Project database
Functional: r²SCAN
Structure: optimized geometry

Structure (CIF):
```
data_Dy4Ga12Fe
_chemical_formula_sum 'Dy8 Ga24 Fe2'
_cell_length_a 8.5238
_cell_length_b 8.5238
_cell_length_c 8.5238
_cell_angle_alpha 90.00
_cell_angle_beta 90.00
_cell_angle_gamma 90.00
_symmetry_space_group_name_H-M 'I m -3 m'
_symmetry_Int_Tables_number 229
_symmetry_space_group_name_Hall '-I 4 2 3'
loop_
_atom_site_label
_atom_site_fract_x
_atom_site_fract_y
_atom_site_fract_z
Dy1 0.2500 0.2500 0.2500
Ga1 0.0000 0.0000 0.2894
Ga2 0.0000 0.2500 0.5000
Fe1 0.0000 0.0000 0.0000
```

Summary:
ΔE_f, eV/atom: -0.566